# 1
K2SnF6 | PBE | optimized geometry

Values from the calculation:
Energy relative to the elements (eV per atom): -3.02
Crystal system: trigonal

Cell lengths 4.888, 5.973, 5.973 Å; angles 120.00, 90.00, 90.00 degrees
Fractional coordinates of all 9 atoms:
1 Sn 0.000 0.000 0.000
2 F 0.774 0.676 0.838
3 F 0.226 0.324 0.162
4 F 0.774 0.162 0.324
5 F 0.226 0.838 0.162
6 F 0.774 0.162 0.838
7 F 0.226 0.838 0.676
8 K 0.320 0.333 0.667
9 K 0.680 0.667 0.333

***

# 2
CeZn3 | PBE | optimized geometry

Values from the calculation:
Energy relative to the elements (eV per atom): -0.29
Crystal system: orthorhombic

Cell lengths 5.681, 5.681, 6.544 Å; angles 90.00, 90.00, 132.02 degrees
Fractional coordinates of all 8 atoms:
1 Zn 0.200 0.800 0.250
2 Zn 0.800 0.200 0.750
3 Zn 0.381 0.619 0.944
4 Zn 0.619 0.381 0.056
5 Zn 0.381 0.619 0.556
6 Zn 0.619 0.381 0.444
7 Ce 0.102 0.898 0.750
8 Ce 0.898 0.102 0.250

***

# 3
Pr4MnS7 | PBE | optimized geometry

Values from the calculation:
Energy relative to the elements (eV per atom): -2.00
Crystal system: hexagonal
M_tot (μB per formula unit): 5.00

Cell lengths 9.872, 9.872, 7.100 Å; angles 90.00, 90.00, 120.00 degrees
Fractional coordinates of all 24 atoms:
1 S 0.456 0.529 0.960
2 S 0.128 0.880 0.329
3 S 0.073 0.544 0.960
4 S 0.667 0.333 0.058
5 S 0.544 0.471 0.460
6 S 0.752 0.872 0.329
7 S 0.872 0.120 0.829
8 S 0.529 0.073 0.460
9 S 0.471 0.927 0.960
10 S 0.333 0.667 0.558
11 S 0.248 0.128 0.829
12 S 0.880 0.752 0.829
13 S 0.120 0.248 0.329
14 S 0.927 0.456 0.460
15 Mn 0.000 0.000 0.479
16 Mn 0.000 0.000 0.979
17 Pr 0.333 0.667 0.178
18 Pr 0.180 0.378 0.724
19 Pr 0.622 0.802 0.724
20 Pr 0.198 0.820 0.724
21 Pr 0.378 0.198 0.224
22 Pr 0.667 0.333 0.678
23 Pr 0.820 0.622 0.224
24 Pr 0.802 0.180 0.224

***

# 4
Pr2Ge6Pt | PBE | optimized geometry

Values from the calculation:
Energy relative to the elements (eV per atom): -0.55
Crystal system: orthorhombic
M_tot (μB per formula unit): 0.00

Cell lengths 4.162, 4.218, 11.418 Å; angles 90.00, 100.50, 90.00 degrees
Fractional coordinates of all 9 atoms:
1 Ge 0.882 0.000 0.765
2 Ge 0.666 0.000 0.333
3 Ge 0.495 0.500 0.991
4 Ge 0.234 0.000 0.468
5 Ge 0.384 0.500 0.768
6 Ge 0.994 0.000 0.988
7 Pr 0.115 0.500 0.230
8 Pr 0.779 0.500 0.558
9 Pt 0.557 0.000 0.113

***

# 5
KZnBP2O8 | PBE | optimized geometry

Values from the calculation:
Energy relative to the elements (eV per atom): -2.65
Crystal system: monoclinic
M_tot (μB per formula unit): 0.00

Cell lengths 9.115, 9.115, 8.523 Å; angles 89.07, 89.07, 90.51 degrees
Fractional coordinates of all 52 atoms:
1 O 0.428 0.266 0.765
2 O 0.175 0.575 0.481
3 O 0.670 0.992 0.777
4 O 0.008 0.330 0.723
5 O 0.323 0.374 0.531
6 O 0.626 0.677 0.969
7 O 0.825 0.425 0.519
8 O 0.903 0.720 0.916
9 O 0.883 0.158 0.529
10 O 0.926 0.671 0.567
11 O 0.266 0.428 0.265
12 O 0.734 0.572 0.735
13 O 0.801 0.469 0.003
14 O 0.097 0.280 0.084
15 O 0.199 0.531 0.997
16 O 0.329 0.074 0.933
17 O 0.992 0.670 0.277
18 O 0.720 0.903 0.416
19 O 0.575 0.175 0.981
20 O 0.280 0.097 0.584
21 O 0.330 0.008 0.223
22 O 0.572 0.734 0.235
23 O 0.531 0.199 0.497
24 O 0.677 0.626 0.469
25 O 0.671 0.926 0.067
26 O 0.074 0.329 0.433
27 O 0.117 0.842 0.471
28 O 0.425 0.825 0.019
29 O 0.158 0.883 0.029
30 O 0.842 0.117 0.971
31 O 0.374 0.323 0.031
32 O 0.469 0.801 0.503
33 Zn 0.314 0.934 0.439
34 Zn 0.066 0.686 0.061
35 Zn 0.934 0.314 0.939
36 Zn 0.686 0.066 0.561
37 K 0.031 0.969 0.750
38 K 0.598 0.402 0.250
39 K 0.402 0.598 0.750
40 K 0.969 0.031 0.250
41 P 0.947 0.311 0.559
42 P 0.774 0.611 0.907
43 P 0.689 0.053 0.941
44 P 0.611 0.774 0.407
45 P 0.226 0.389 0.093
46 P 0.311 0.947 0.059
47 P 0.053 0.689 0.441
48 P 0.389 0.226 0.593
49 B 0.576 0.795 0.074
50 B 0.424 0.205 0.926
51 B 0.795 0.576 0.574
52 B 0.205 0.424 0.426

***

# 6
CrC | PBE | optimized geometry

Values from the calculation:
Energy relative to the elements (eV per atom): 0.17
Crystal system: cubic
M_tot (μB per formula unit): 1.40

Cell lengths 2.905, 2.905, 2.905 Å; angles 60.00, 60.00, 60.00 degrees
Fractional coordinates of all 2 atoms:
1 C 0.000 0.000 0.000
2 Cr 0.500 0.500 0.500

***

# 7
Sm3Co11B4 | PBE | optimized geometry

Values from the calculation:
Energy relative to the elements (eV per atom): -0.31
Crystal system: hexagonal
M_tot (μB per formula unit): 6.33

Cell lengths 5.059, 5.059, 9.692 Å; angles 90.00, 90.00, 120.00 degrees
Fractional coordinates of all 18 atoms:
1 Co 0.000 0.500 0.500
2 Co 0.500 0.500 0.203
3 Co 0.500 0.000 0.203
4 Co 0.333 0.667 0.000
5 Co 0.000 0.500 0.203
6 Co 0.500 0.000 0.500
7 Co 0.500 0.500 0.500
8 Co 0.667 0.333 0.000
9 Co 0.500 0.000 0.797
10 Co 0.000 0.500 0.797
11 Co 0.500 0.500 0.797
12 Sm 0.000 0.000 0.340
13 Sm 0.000 0.000 0.000
14 Sm 0.000 0.000 0.660
15 B 0.333 0.667 0.350
16 B 0.333 0.667 0.650
17 B 0.667 0.333 0.350
18 B 0.667 0.333 0.650

***

# 8
TbMgRh2 | PBE | optimized geometry

Values from the calculation:
Energy relative to the elements (eV per atom): -0.70
Crystal system: cubic

Cell lengths 4.664, 4.664, 4.664 Å; angles 60.00, 60.00, 60.00 degrees
Fractional coordinates of all 4 atoms:
1 Mg 0.500 0.500 0.500
2 Rh 0.750 0.750 0.750
3 Rh 0.250 0.250 0.250
4 Tb 0.000 0.000 0.000

***

# 9
CaSn2O5 | PBE | optimized geometry

Values from the calculation:
Energy relative to the elements (eV per atom): -2.20
Crystal system: orthorhombic
E above lowest polymorph (meV per atom): 204.7
M_tot (μB per formula unit): 0.00

Cell lengths 3.924, 6.169, 11.977 Å; angles 90.00, 90.00, 108.55 degrees
Fractional coordinates of all 16 atoms:
1 Sn 0.191 0.381 0.901
2 Sn 0.191 0.381 0.599
3 Sn 0.809 0.619 0.099
4 Sn 0.809 0.619 0.401
5 Ca 0.097 0.193 0.250
6 Ca 0.903 0.807 0.750
7 O 0.031 0.062 0.622
8 O 0.242 0.485 0.427
9 O 0.969 0.938 0.378
10 O 0.758 0.515 0.927
11 O 0.717 0.435 0.250
12 O 0.242 0.485 0.073
13 O 0.758 0.515 0.573
14 O 0.283 0.565 0.750
15 O 0.969 0.938 0.122
16 O 0.031 0.062 0.878

***

# 10
YMg6W | PBE | optimized geometry

Values from the calculation:
Energy relative to the elements (eV per atom): 0.30
E above lowest polymorph (meV per atom): 28.5
M_tot (μB per formula unit): 0.82

Cell lengths 5.060, 6.192, 11.310 Å; angles 90.00, 90.00, 90.00 degrees
Fractional coordinates of all 16 atoms:
1 Mg 0.000 0.731 0.087
2 Mg 0.500 0.248 0.419
3 Mg 0.500 0.752 0.419
4 Mg 0.000 0.500 0.318
5 Mg 0.000 0.231 0.587
6 Mg 0.500 0.252 0.919
7 Mg 0.000 0.269 0.087
8 Mg 0.000 0.000 0.337
9 Mg 0.500 0.748 0.919
10 Mg 0.000 0.769 0.587
11 Mg 0.000 0.000 0.818
12 Mg 0.000 0.500 0.837
13 W 0.500 0.500 0.165
14 W 0.500 0.000 0.665
15 Y 0.500 0.500 0.668
16 Y 0.500 0.000 0.168

***

# 11
NaMnCrC6N6 | PBE | optimized geometry

Values from the calculation:
Energy relative to the elements (eV per atom): -0.02
Crystal system: cubic
M_tot (μB per formula unit): 3.88

Cell lengths 7.218, 7.218, 7.218 Å; angles 60.00, 60.00, 60.00 degrees
Fractional coordinates of all 15 atoms:
1 N 0.189 0.189 0.811
2 N 0.189 0.811 0.189
3 N 0.811 0.811 0.189
4 N 0.811 0.189 0.811
5 N 0.189 0.811 0.811
6 N 0.811 0.189 0.189
7 C 0.696 0.304 0.696
8 C 0.696 0.696 0.304
9 C 0.304 0.696 0.304
10 C 0.304 0.304 0.696
11 C 0.696 0.304 0.304
12 C 0.304 0.696 0.696
13 Na 0.250 0.250 0.250
14 Mn 0.000 0.000 0.000
15 Cr 0.500 0.500 0.500

***

# 12
MgTe2MoW2Se2S2 | PBE | optimized geometry

Values from the calculation:
Energy relative to the elements (eV per atom): -0.48
Crystal system: monoclinic
E above lowest polymorph (meV per atom): 25.8
M_tot (μB per formula unit): 0.01

Cell lengths 3.344, 3.344, 37.618 Å; angles 89.96, 90.00, 120.00 degrees
Fractional coordinates of all 10 atoms:
1 W 0.333 0.666 0.107
2 W 0.333 0.667 0.579
3 Mg 0.000 0.000 0.232
4 S 0.667 0.334 0.067
5 S 0.666 0.333 0.148
6 Te 0.666 0.333 0.629
7 Te 0.667 0.334 0.528
8 Se 0.333 0.666 0.397
9 Se 0.334 0.667 0.308
10 Mo 0.667 0.334 0.353